[1]
The following is a PBE+U calculation of an optimized crystal structure of Fe3NiF6, from Materials Project.

Cell and atoms, written as POSCAR:
```
Fe3NiF6
1.0
4.501 4.335 -0.334
1.127 -5.310 1.303
-2.095 -5.415 -4.400
F Ni Fe
6 1 3
Direct
0.424 0.076 0.097
0.971 0.548 0.247
0.029 0.452 0.753
0.226 0.214 0.344
0.774 0.786 0.656
0.576 0.924 0.903
0.000 0.000 0.000
0.000 0.000 0.500
0.500 0.500 0.000
0.000 0.500 0.000
```

Calculated values
- DFT total energy: -47.4 eV for the cell shown
- SG: P-1, No. 2
- Energy relative to the elements: -1.68 eV/atom
- V: 15.2 Å³ per atom

[2]
The following is a PBE+U calculation of an optimized crystal structure of Li4Co3O7, from Materials Project.

Cell and atoms, written as POSCAR:
```
Li4Co3O7
1.0
5.085 0.000 0.000
1.717 4.835 0.000
2.393 0.112 10.052
Li Co O
8 6 14
Direct
0.284 0.499 0.931
0.858 0.499 0.785
0.428 0.502 0.641
0.000 0.500 0.500
0.500 0.000 0.500
0.142 0.501 0.215
0.572 0.498 0.359
0.716 0.501 0.069
0.076 0.000 0.361
0.360 0.005 0.778
0.640 0.995 0.222
0.786 0.999 0.930
0.214 0.001 0.070
0.924 0.000 0.639
0.039 0.236 0.934
0.695 0.778 0.647
0.092 0.777 0.778
0.623 0.227 0.777
0.961 0.764 0.066
0.519 0.770 0.929
0.167 0.219 0.650
0.305 0.222 0.353
0.908 0.223 0.222
0.833 0.781 0.350
0.784 0.222 0.502
0.216 0.778 0.498
0.377 0.773 0.223
0.481 0.230 0.071
```

Calculated values
- DFT total energy: -154.9 eV for the cell shown
- SG: P-1, No. 2
- Energy relative to the elements: -1.68 eV/atom
- Energy above the most stable polymorph in this dataset: 28 meV/atom
- V: 8.8 Å³ per atom

[3]
The following is a PBE+U calculation of an optimized crystal structure of MgSc2Cr2O8, from Materials Project.

Cell and atoms, written as POSCAR:
```
MgSc2Cr2O8
1.0
2.876 4.458 0.000
-2.876 4.458 0.000
0.000 0.000 6.481
Sc Cr O Mg
2 2 8 1
Direct
0.005 0.005 0.994
0.005 0.005 0.506
0.646 0.646 0.750
0.345 0.345 0.250
0.786 0.271 0.750
0.733 0.248 0.250
0.230 0.230 0.037
0.248 0.733 0.250
0.271 0.786 0.750
0.230 0.230 0.463
0.764 0.764 0.522
0.764 0.764 0.978
0.661 0.661 0.250
```

Calculated values
- DFT total energy: -99.6 eV for the cell shown
- SG: Amm2, No. 38
- Energy relative to the elements: -2.77 eV/atom
- Energy above the most stable polymorph in this dataset: 0 meV/atom
- V: 12.8 Å³ per atom

[4]
The following is a PBE+U calculation of an optimized crystal structure of MgW2Br4O4, from Materials Project.

Cell and atoms, written as POSCAR:
```
MgW2Br4O4
1.0
-7.474 0.243 -2.055
-0.949 -1.834 3.259
-0.844 7.457 3.951
Mg Br W O
1 4 2 4
Direct
0.796 0.501 0.500
0.552 0.003 0.314
0.016 0.997 0.685
0.552 0.003 0.686
0.016 0.997 0.315
0.535 0.001 0.000
0.032 0.999 0.000
0.292 0.000 0.000
0.534 0.501 0.000
0.034 0.499 0.000
0.778 0.000 0.000
```

Calculated values
- DFT total energy: -57.4 eV for the cell shown
- SG: Pm, No. 6
- Energy relative to the elements: -1.38 eV/atom
- Energy above the most stable polymorph in this dataset: 116 meV/atom
- V: 23.1 Å³ per atom

[5]
The following is a PBE+U calculation of an optimized crystal structure of Ba2CoWO6, from Materials Project.

Cell and atoms, written as POSCAR:
```
Ba2CoWO6
1.0
3.359 -4.748 0.005
1.701 4.749 8.737
-5.041 -0.008 2.905
O Ba Co W
12 4 2 2
Direct
0.631 0.369 0.893
0.369 0.631 0.107
0.607 0.869 0.869
0.393 0.131 0.131
0.369 0.631 0.631
0.869 0.131 0.131
0.893 0.631 0.631
0.131 0.869 0.869
0.631 0.369 0.369
0.131 0.869 0.393
0.107 0.369 0.369
0.869 0.131 0.607
0.125 0.376 0.875
0.875 0.624 0.125
0.375 0.124 0.625
0.625 0.876 0.375
0.000 0.000 0.000
0.500 0.500 0.500
0.750 0.250 0.250
0.250 0.750 0.750
```

Calculated values
- DFT total energy: -138.4 eV for the cell shown
- Energy relative to the elements: -2.58 eV/atom
- V: 14.0 Å³ per atom

[6]
The following is a PBE+U calculation of an optimized crystal structure of CaNi4O6, from Materials Project.

Cell and atoms, written as POSCAR:
```
CaNi4O6
1.0
1.512 -4.901 0.000
1.512 4.901 0.000
0.000 0.000 15.091
Ni O Ca
8 12 2
Direct
0.137 0.863 0.042
0.591 0.409 0.869
0.409 0.591 0.369
0.863 0.137 0.542
0.409 0.591 0.131
0.863 0.137 0.958
0.591 0.409 0.631
0.137 0.863 0.458
0.224 0.776 0.923
0.500 0.500 0.000
0.957 0.043 0.653
0.224 0.776 0.577
0.043 0.957 0.153
0.670 0.330 0.750
0.957 0.043 0.847
0.776 0.224 0.423
0.776 0.224 0.077
0.500 0.500 0.500
0.330 0.670 0.250
0.043 0.957 0.347
0.344 0.656 0.750
0.656 0.344 0.250
```

Calculated values
- DFT total energy: -113.3 eV for the cell shown
- SG: Cmcm, No. 63
- Energy relative to the elements: -1.47 eV/atom
- V: 10.2 Å³ per atom